## Na3TiZn3PS5O24 (GGA-PBE)

Data for a geometry-optimized Na3TiZn3PS5O24 structure.

Results
formation energy from the elements	-79.93	eV per formula unit
space-group type	P1 (1)
crystal system	triclinic

Cell: 8.7657 8.7446 22.4317 Å, 90.21 90.04 120.21°
With the nearest neighbours (Å) after each atom.
Fractional positions:
Na 0.3628 0.3627 0.2509  5 O 2.39-2.63
Na 0.0330 0.7007 0.5848  4 O 2.28-2.50
Na 0.2989 0.9648 0.0808  5 O 2.34-2.50
Na 0.9932 0.0055 0.4993  6 O 2.47-2.59
Na 0.9959 0.0062 0.9940  6 O 2.46-2.65
Na 0.6644 0.3305 0.8281  6 O 2.46-2.67
Na 0.6782 0.3302 0.3325  6 O 2.48-2.68
Na 0.3324 0.6654 0.1673  6 O 2.54-2.63
Na 0.3523 0.6641 0.6653  5 O 2.43-2.67
Ti 0.6718 0.3297 0.9742  5 O 1.87-2.06
Ti 0.6669 0.3414 0.4831  5 O 1.82-2.01
Ti 0.3246 0.6684 0.8170  6 O 1.88-2.08
Zn 0.9947 0.9969 0.3500  6 O 2.02-2.16
Zn 0.0065 0.0078 0.8514  6 O 2.02-2.17
Zn 0.9897 0.0007 0.6510  5 O 2.04-2.17
Zn 0.9900 0.9974 0.1513  5 O 2.01-2.21
Zn 0.6603 0.3348 0.6844  6 O 1.96-2.16
Zn 0.6763 0.3364 0.1834  6 O 1.99-2.17
Zn 0.3299 0.6606 0.0125  3 O 1.92-2.03
Zn 0.3484 0.6675 0.5157  6 O 1.99-2.19
Zn 0.3343 0.6760 0.3198  6 O 2.03-2.18
P 0.6635 0.6274 0.5855  4 O 1.51-1.64
P 0.0435 0.3728 0.9181  4 O 1.51-1.60
P 0.3292 0.9568 0.9197  4 O 1.51-1.60
S 0.2947 0.9972 0.2487  4 O 1.48-1.50
S 0.7036 0.7043 0.2502  4 O 1.47-1.50
S 0.9996 0.2957 0.2506  4 O 1.47-1.50
S 0.2947 0.2974 0.7508  4 O 1.47-1.53
S 0.0011 0.7047 0.7505  4 O 1.46-1.54
S 0.7017 0.9978 0.7515  4 O 1.47-1.53
S 0.9566 0.3318 0.5829  4 O 1.47-1.52
S 0.3762 0.0429 0.5830  4 O 1.46-1.51
S 0.9570 0.6241 0.0828  4 O 1.47-1.50
S 0.6689 0.0430 0.0823  4 O 1.47-1.52
S 0.3774 0.3372 0.0835  4 O 1.47-1.51
S 0.6248 0.6659 0.9175  4 O 1.46-1.53
S 0.6308 0.9670 0.4174  4 O 1.47-1.51
S 0.3332 0.3676 0.4163  4 O 1.47-1.53
S 0.0373 0.6660 0.4189  4 O 1.47-1.53
O 0.2100 0.0284 0.3008  1 S 1.48
O 0.8099 0.7852 0.3040  1 S 1.47
O 0.9752 0.1894 0.3043  1 S 1.47
O 0.2137 0.1906 0.8041  1 S 1.47
O 0.9779 0.7916 0.8028  1 S 1.46
O 0.8099 0.0237 0.8045  1 S 1.47
O 0.7719 0.9620 0.6964  1 S 1.48
O 0.1883 0.2238 0.6960  1 S 1.48
O 0.0353 0.8064 0.6945  1 S 1.48
O 0.7815 0.8073 0.1954  1 S 1.47
O 0.0326 0.2176 0.1963  1 S 1.49
O 0.1943 0.9737 0.1922  1 S 1.50
O 0.8784 0.3607 0.6366  1 S 1.47
O 0.4811 0.1186 0.6371  1 S 1.46
O 0.6417 0.5171 0.6399  1 P 1.51
O 0.8779 0.5229 0.1373  1 S 1.47
O 0.6369 0.1211 0.1359  1 S 1.48
O 0.4745 0.3572 0.1400  1 S 1.49
O 0.4716 0.3121 0.0314  1 S 1.51
O 0.8466 0.5309 0.0291  1 S 1.50
O 0.6878 0.1552 0.0283  1 S 1.52
O 0.4705 0.1542 0.5291  1 S 1.51
O 0.6864 0.5223 0.5289  1 P 1.64, 1 Ti 1.82
O 0.8431 0.3103 0.5286  1 S 1.52
O 0.5515 0.6940 0.9722  1 S 1.46
O 0.1486 0.4496 0.9745  1 P 1.51
O 0.3090 0.8595 0.9779  1 P 1.52
O 0.5501 0.8598 0.4707  1 S 1.47
O 0.3065 0.4519 0.4688  1 S 1.47
O 0.1396 0.6895 0.4739  1 S 1.48
O 0.1129 0.6316 0.3654  1 S 1.47
O 0.5238 0.8932 0.3629  1 S 1.47
O 0.3682 0.4718 0.3608  1 S 1.48
O 0.1357 0.4976 0.8629  1 P 1.58
O 0.3626 0.8631 0.8650  1 P 1.58
O 0.5094 0.6337 0.8643  1 S 1.49
O 0.0129 0.8201 0.4126  1 S 1.47
O 0.8093 0.9898 0.4118  1 S 1.48
O 0.1793 0.1878 0.4110  1 S 1.47
O 0.0062 0.1861 0.9086  1 P 1.51
O 0.1736 0.9833 0.9097  1 P 1.51
O 0.8028 0.8157 0.9092  1 S 1.46
O 0.9716 0.1720 0.5849  1 S 1.47
O 0.2014 0.0310 0.5848  1 S 1.48
O 0.8411 0.8050 0.5844  1 P 1.55
O 0.9739 0.8029 0.0846  1 S 1.49
O 0.8307 0.0320 0.0853  1 S 1.47
O 0.2018 0.1698 0.0852  1 S 1.50
O 0.6777 0.1526 0.7453  1 S 1.48
O 0.4735 0.3211 0.7461  1 S 1.48
O 0.8496 0.5239 0.7462  1 S 1.47
O 0.6795 0.5220 0.2458  1 S 1.50
O 0.8419 0.3145 0.2449  1 S 1.48
O 0.4725 0.1623 0.2449  1 S 1.50
O 0.6355 0.4978 0.9233  1 S 1.53
O 0.8579 0.3664 0.9241  1 P 1.60
O 0.5063 0.1449 0.9248  1 P 1.60
O 0.6483 0.1472 0.4253  1 S 1.51
O 0.4973 0.3515 0.4251  1 S 1.53
O 0.8552 0.5000 0.4252  1 S 1.53
O 0.3590 0.4943 0.0775  1 S 1.47
O 0.1373 0.6487 0.0788  1 S 1.49
O 0.5083 0.8658 0.0763  1 S 1.48
O 0.3482 0.8616 0.5758  1 S 1.48
O 0.5015 0.6456 0.5769  1 P 1.52
O 0.1308 0.4952 0.5752  1 S 1.49
O 0.3130 0.8392 0.2549  1 S 1.48
O 0.5222 0.6807 0.2550  1 S 1.50
O 0.1641 0.4738 0.2560  1 S 1.50
O 0.3137 0.4797 0.7591  1 S 1.53
O 0.1677 0.6900 0.7588  1 S 1.54
O 0.5204 0.8328 0.7597  1 S 1.53